# 1
VASP calculation (PBE) on crystalline Na6Hf2Zn2Si3S3O24 at its relaxed geometry.

a b c (Å): 9.1143 9.1060 22.5939
angles (deg): 89.77 90.54 119.57
Atoms (fractional coordinates):
Hf (0.0037, 0.0118, 0.6488)
O (0.7834, 0.8133, 0.1967)
O (0.3068, 0.8495, 0.9787)
O (0.6496, 0.5245, 0.6366)
Si (0.3614, 0.0212, 0.5835)
O (0.9809, 0.2008, 0.3084)
Hf (0.0149, 0.0017, 0.1446)
O (0.6920, 0.1666, 0.7497)
Na (0.2990, 0.3352, 0.5814)
O (0.3595, 0.5140, 0.0732)
Zn (0.6540, 0.3040, 0.6828)
O (0.0205, 0.2050, 0.2016)
O (0.8673, 0.5150, 0.1479)
O (0.8444, 0.3123, 0.5235)
O (0.9572, 0.8080, 0.0907)
Na (0.3760, 0.3535, 0.2446)
Na (0.9860, 0.3493, 0.7409)
S (0.0366, 0.6662, 0.4144)
S (0.0369, 0.3725, 0.9174)
S (0.9993, 0.7057, 0.7533)
O (0.6459, 0.1201, 0.1381)
O (0.6898, 0.5433, 0.5300)
Hf (0.3511, 0.6813, 0.8110)
Na (0.0079, 0.9990, 0.5030)
O (0.8136, 0.8112, 0.3040)
Si (0.3085, 0.0041, 0.2514)
O (0.1613, 0.9816, 0.9145)
Na (0.9960, 0.6365, 0.2362)
O (0.1154, 0.4777, 0.8635)
Zn (0.0216, 0.0160, 0.8402)
O (0.5047, 0.3481, 0.4193)
Zn (0.0324, 0.0230, 0.3480)
Zn (0.3030, 0.6444, 0.5232)
O (0.4920, 0.3264, 0.7406)
O (0.3056, 0.8191, 0.2556)
O (0.1251, 0.6443, 0.3605)
O (0.5271, 0.8733, 0.0788)
Na (0.3181, 0.2791, 0.9066)
O (0.5252, 0.6524, 0.5776)
O (0.6940, 0.5484, 0.2516)
Si (0.7145, 0.0003, 0.7523)
Si (0.3350, 0.3737, 0.4181)
O (0.1770, 0.0153, 0.5871)
O (0.6366, 0.5015, 0.9217)
O (0.8020, 0.9889, 0.4074)
Na (0.3870, 0.0267, 0.7454)
O (0.8736, 0.5029, 0.4176)
Si (0.3689, 0.3441, 0.0847)
S (0.7127, 0.7198, 0.2536)
Si (0.9542, 0.6183, 0.0882)
O (0.1737, 0.9714, 0.1949)
O (0.3078, 0.4655, 0.4741)
Na (0.6545, 0.6810, 0.0786)
Na (0.6544, 0.9766, 0.5928)
Si (0.3084, 0.3037, 0.7516)
O (0.8279, 0.7965, 0.5866)
O (0.7939, 0.9708, 0.6901)
S (0.9988, 0.2936, 0.2535)
O (0.9844, 0.7791, 0.8091)
Hf (0.3421, 0.6713, 0.3154)
O (0.5514, 0.6827, 0.9740)
O (0.1827, 0.1645, 0.0890)
O (0.8360, 0.5283, 0.0287)
O (0.0270, 0.8204, 0.7023)
Na (0.6456, 0.3215, 0.3281)
O (0.1528, 0.4819, 0.5835)
O (0.1735, 0.2040, 0.6948)
Hf (0.6561, 0.3262, 0.9830)
O (0.7984, 0.8046, 0.9129)
O (0.1637, 0.4656, 0.2551)
O (0.8265, 0.0277, 0.0909)
O (0.1432, 0.4510, 0.9696)
O (0.4571, 0.1587, 0.5256)
Na (0.3224, 0.0395, 0.4155)
O (0.5585, 0.8700, 0.4712)
Zn (0.2980, 0.6543, 0.0200)
O (0.9622, 0.1510, 0.5862)
Na (0.6508, 0.3158, 0.8217)
O (0.3609, 0.8469, 0.5707)
O (0.1648, 0.1838, 0.4153)
Si (0.9570, 0.3343, 0.5860)
O (0.1619, 0.6945, 0.7553)
O (0.2384, 0.1909, 0.8113)
O (0.4732, 0.3740, 0.1463)
S (0.6724, 0.6287, 0.5854)
O (0.8593, 0.3277, 0.2476)
O (0.8290, 0.0169, 0.8084)
O (0.2958, 0.4787, 0.7587)
O (0.1498, 0.6677, 0.0847)
Hf (0.6542, 0.3316, 0.4862)
S (0.6327, 0.9622, 0.4179)
O (0.8593, 0.5377, 0.7460)
O (0.6952, 0.1476, 0.0320)
O (0.1448, 0.6965, 0.4664)
O (0.3476, 0.8601, 0.8611)
Na (0.9864, 0.6879, 0.9158)
S (0.6281, 0.6665, 0.9202)
O (0.2275, 0.0322, 0.3108)
O (0.3524, 0.4846, 0.3568)
Na (0.3210, 0.6552, 0.1545)
O (0.5001, 0.1519, 0.9228)
Na (0.0044, 0.0092, 0.9900)
O (0.5153, 0.6386, 0.8677)
S (0.6711, 0.0427, 0.0856)
O (0.5154, 0.8735, 0.3651)
Zn (0.6494, 0.3286, 0.1757)
O (0.8700, 0.3691, 0.9233)
O (0.4910, 0.1719, 0.2428)
Na (0.3004, 0.9578, 0.0711)
Si (0.3295, 0.9594, 0.9194)
O (0.0130, 0.2036, 0.9128)
O (0.5332, 0.6935, 0.2563)
Na (0.9861, 0.3005, 0.4281)
O (0.4641, 0.2999, 0.0298)
O (0.5171, 0.8345, 0.7552)
O (0.0102, 0.8096, 0.4068)
Na (0.3236, 0.6659, 0.6596)
O (0.8674, 0.3544, 0.6432)
O (0.6418, 0.1353, 0.4177)
O (0.4737, 0.1006, 0.6421)

## Properties
Total moment (μB/cell): 0.000
Uncorrected energy (eV per atom): -6.58
Crystal system: triclinic
Space group: P1
Formation energy (eV/atom): -2.55

=====

# 2
VASP calculation (PBE) on crystalline Na14Hf4Zn4Si7S5O48 at its relaxed geometry.

a b c (Å): 18.3310 9.1960 22.4557
angles (deg): 90.18 89.53 119.95
Atoms (fractional coordinates):
O (0.9166, 0.8205, 0.5883)
O (0.3242, 0.1487, 0.4167)
Na (0.3260, 0.3194, 0.8244)
Na (0.9904, 0.6392, 0.2451)
O (0.5761, 0.6878, 0.7557)
O (0.9874, 0.7745, 0.8082)
S (0.1833, 0.0328, 0.5838)
Si (0.1822, 0.3278, 0.0801)
O (0.2195, 0.2875, 0.0201)
O (0.2436, 0.1244, 0.9160)
O (0.7513, 0.6454, 0.5761)
O (0.4239, 0.5406, 0.7467)
Na (0.9741, 0.6669, 0.9205)
S (0.4994, 0.7073, 0.7533)
O (0.6733, 0.8632, 0.8584)
O (0.4887, 0.7810, 0.8092)
O (0.3984, 0.9661, 0.6974)
S (0.6828, 0.3339, 0.0824)
Na (0.8516, 0.6766, 0.4177)
O (0.6755, 0.4884, 0.0746)
O (0.9105, 0.7897, 0.3105)
O (0.4980, 0.8242, 0.0897)
O (0.0623, 0.4789, 0.8606)
O (0.5139, 0.2129, 0.9164)
O (0.4342, 0.5134, 0.1398)
Na (0.9913, 0.9959, 0.4924)
Na (0.6689, 0.6603, 0.6628)
O (0.5757, 0.6747, 0.4677)
O (0.2556, 0.8299, 0.7535)
S (0.0220, 0.6632, 0.4152)
Na (0.6618, 0.6640, 0.1780)
O (0.5195, 0.8248, 0.4171)
Zn (0.8346, 0.3492, 0.1877)
O (0.9395, 0.5140, 0.4176)
O (0.4167, 0.0085, 0.0875)
O (0.8180, 0.1087, 0.1352)
Zn (0.1728, 0.6604, 0.8099)
O (0.4120, 0.9796, 0.4151)
O (0.5757, 0.4873, 0.5743)
O (0.5583, 0.6410, 0.3601)
Na (0.1695, 0.0557, 0.4077)
Na (0.8359, 0.9803, 0.5775)
Hf (0.9933, 0.9990, 0.6486)
Si (0.3382, 0.0422, 0.0766)
O (0.2660, 0.6757, 0.9699)
O (0.2698, 0.8516, 0.4786)
O (0.9245, 0.3077, 0.2444)
O (0.4234, 0.3152, 0.2425)
Na (0.6718, 0.2891, 0.9082)
O (0.7549, 0.8437, 0.7530)
S (0.5229, 0.6661, 0.4160)
O (0.2195, 0.1391, 0.5301)
Hf (0.4937, 0.9884, 0.1498)
Zn (0.3331, 0.3185, 0.4790)
Na (0.6492, 0.9666, 0.0899)
Zn (0.8307, 0.3475, 0.9797)
Zn (0.9949, 0.0026, 0.8387)
Na (0.3549, 0.0448, 0.9154)
S (0.4977, 0.2913, 0.2510)
O (0.8420, 0.5158, 0.2490)
O (0.0767, 0.6921, 0.7523)
O (0.5131, 0.8197, 0.7016)
Na (0.5037, 0.0021, 0.4955)
Zn (0.3353, 0.3331, 0.0122)
Na (0.9994, 0.9996, 0.9985)
O (0.2559, 0.8623, 0.3632)
Zn (0.4963, 0.9866, 0.3413)
Na (0.3083, 0.6253, 0.7449)
O (0.9366, 0.5114, 0.1435)
Si (0.9747, 0.6175, 0.0832)
O (0.0830, 0.5067, 0.5820)
O (0.1497, 0.4708, 0.7529)
O (0.7693, 0.6883, 0.9780)
Na (0.3529, 0.6691, 0.4106)
Zn (0.9979, 0.9972, 0.3496)
O (0.9999, 0.1745, 0.5915)
Na (0.6580, 0.3360, 0.5799)
Na (0.1680, 0.2844, 0.9145)
O (0.6175, 0.1895, 0.8129)
O (0.0194, 0.8213, 0.4159)
O (0.4846, 0.1972, 0.3068)
Na (0.4812, 0.6769, 0.9244)
O (0.0885, 0.1869, 0.6948)
Na (0.1604, 0.6567, 0.6735)
O (0.0216, 0.2172, 0.9172)
O (0.6474, 0.8259, 0.2499)
Si (0.8513, 0.0092, 0.7526)
Na (0.5030, 0.6470, 0.2538)
O (0.7183, 0.2990, 0.0282)
O (0.2542, 0.6660, 0.2521)
O (0.9050, 0.0404, 0.8129)
O (0.3954, 0.8178, 0.9159)
O (0.5810, 0.6581, 0.0801)
O (0.5883, 0.2055, 0.4164)
Si (0.6810, 0.0339, 0.5820)
O (0.0143, 0.2079, 0.1990)
O (0.1765, 0.8644, 0.5762)
Hf (0.5009, 0.0152, 0.6491)
Si (0.9859, 0.3413, 0.5842)
O (0.2619, 0.6451, 0.8620)
O (0.7438, 0.1258, 0.6396)
Si (0.6492, 0.0070, 0.2502)
O (0.0838, 0.1831, 0.4167)
O (0.7424, 0.3631, 0.4162)
O (0.3425, 0.5081, 0.2444)
O (0.6525, 0.8427, 0.9740)
Si (0.8165, 0.9739, 0.4156)
Na (0.0012, 0.3549, 0.7479)
Hf (0.1659, 0.6595, 0.5167)
Si (0.8383, 0.6274, 0.5764)
Na (0.3377, 0.9916, 0.5791)
Si (0.4771, 0.3367, 0.5832)
Na (0.6916, 0.3703, 0.2574)
O (0.8204, 0.5016, 0.6331)
O (0.0750, 0.6634, 0.0749)
Hf (0.8305, 0.3324, 0.6805)
O (0.2566, 0.3659, 0.4209)
O (0.3175, 0.1355, 0.1308)
O (0.4054, 0.7719, 0.3115)
O (0.4283, 0.5610, 0.0223)
Si (0.3509, 0.6942, 0.2519)
O (0.2454, 0.3617, 0.1369)
O (0.5645, 0.4782, 0.8612)
Na (0.6770, 0.0455, 0.4127)
O (0.6580, 0.4640, 0.4690)
S (0.1676, 0.9554, 0.9147)
O (0.3415, 0.5528, 0.5284)
O (0.2464, 0.3255, 0.7429)
S (0.0002, 0.2927, 0.2514)
Hf (0.6708, 0.6736, 0.5222)
Si (0.1675, 0.3669, 0.4162)
Hf (0.3296, 0.3265, 0.1819)
Na (0.1562, 0.9800, 0.0860)
O (0.3438, 0.1660, 0.7506)
S (0.9987, 0.7050, 0.7518)
O (0.5058, 0.1974, 0.1991)
O (0.3210, 0.5114, 0.9189)
O (0.8493, 0.5473, 0.5155)
Hf (0.6779, 0.6760, 0.8134)
O (0.2352, 0.1060, 0.6374)
O (0.7653, 0.8483, 0.4735)
Na (0.8072, 0.9904, 0.2563)
O (0.9071, 0.0099, 0.0868)
O (0.4361, 0.5200, 0.4227)
Na (0.8512, 0.0348, 0.9103)
Si (0.4846, 0.6309, 0.0827)
O (0.4080, 0.0218, 0.8153)
Si (0.1474, 0.9981, 0.2538)
O (0.0889, 0.9724, 0.1937)
Si (0.6641, 0.9664, 0.9158)
O (0.3962, 0.8114, 0.1926)
O (0.5779, 0.9787, 0.9153)
Na (0.4767, 0.2854, 0.4211)
O (0.0081, 0.8158, 0.7006)
O (0.4384, 0.3633, 0.6448)
O (0.9306, 0.2980, 0.5247)
O (0.8429, 0.1782, 0.7458)
Na (0.1835, 0.3545, 0.2571)
O (0.5876, 0.2037, 0.6958)
O (0.2411, 0.1635, 0.2428)
Na (0.8367, 0.6874, 0.0837)
O (0.1765, 0.4871, 0.3583)
Hf (0.0012, 0.9892, 0.1497)
O (0.0892, 0.1637, 0.0912)
O (0.1470, 0.8177, 0.2564)
O (0.4857, 0.1606, 0.5901)
S (0.3119, 0.6622, 0.9159)
O (0.5893, 0.9908, 0.1919)
Na (0.3361, 0.6904, 0.0864)
Si (0.6506, 0.3026, 0.7527)
O (0.0662, 0.6498, 0.3608)
O (0.0784, 0.4794, 0.9675)
O (0.8977, 0.8253, 0.1935)
Zn (0.5085, 0.0150, 0.8407)
O (0.0772, 0.4656, 0.2532)
O (0.7552, 0.8589, 0.0774)
Si (0.8199, 0.6726, 0.9185)
O (0.6092, 0.0474, 0.3096)
O (0.8981, 0.9832, 0.6942)
O (0.6781, 0.8521, 0.5782)
O (0.7584, 0.8976, 0.3566)
Na (0.9741, 0.2718, 0.4245)
O (0.5748, 0.4576, 0.2515)
O (0.4069, 0.8043, 0.5887)
O (0.2521, 0.8513, 0.0743)
O (0.9070, 0.9769, 0.4148)
O (0.8276, 0.1627, 0.4218)
O (0.0975, 0.0098, 0.5918)
Na (0.4927, 0.3475, 0.7392)
O (0.3178, 0.5293, 0.6370)
Hf (0.6658, 0.6737, 0.0163)
O (0.9387, 0.3575, 0.9222)
Hf (0.1646, 0.6648, 0.0250)
O (0.0759, 0.6763, 0.4680)
O (0.1727, 0.8670, 0.8610)
O (0.8244, 0.4996, 0.9163)
O (0.7552, 0.6778, 0.2512)
S (0.8332, 0.0368, 0.0816)
O (0.9119, 0.8439, 0.9150)
S (0.6652, 0.3754, 0.4142)
Na (0.8240, 0.3171, 0.3327)
O (0.0896, 0.9670, 0.9174)
Si (0.8508, 0.7025, 0.2532)
O (0.3514, 0.1404, 0.0143)
O (0.5968, 0.1853, 0.0899)
O (0.1093, 0.0408, 0.3120)
O (0.5739, 0.4725, 0.9683)
Na (0.3250, 0.3166, 0.3369)
Si (0.1493, 0.2901, 0.7520)
S (0.3329, 0.6308, 0.5834)
Si (0.3199, 0.9673, 0.4189)
Na (0.6863, 0.0143, 0.7523)
O (0.9864, 0.8121, 0.0893)
O (0.9250, 0.5336, 0.7443)
O (0.9912, 0.2001, 0.3067)
O (0.4171, 0.2915, 0.5249)
O (0.7437, 0.3237, 0.7424)
Hf (0.1776, 0.6803, 0.3143)
Na (0.1911, 0.0136, 0.7527)
O (0.2554, 0.6538, 0.5790)
O (0.1637, 0.8553, 0.9693)
S (0.5202, 0.3796, 0.9155)
O (0.7559, 0.6498, 0.8628)
O (0.1563, 0.4675, 0.4747)
Na (0.1691, 0.6775, 0.1702)
O (0.7458, 0.1644, 0.2415)
Na (0.4991, 0.0003, 0.9993)
Na (0.1487, 0.3309, 0.5855)
O (0.6682, 0.4707, 0.3604)
O (0.1109, 0.1730, 0.8123)
O (0.5871, 0.0088, 0.5943)
O (0.7523, 0.1460, 0.9211)
O (0.7350, 0.3646, 0.1355)
O (0.6471, 0.4785, 0.7558)
O (0.9390, 0.3588, 0.6438)
Zn (0.3347, 0.3155, 0.6863)
Si (0.3512, 0.9955, 0.7560)
Zn (0.6815, 0.7037, 0.3125)
O (0.9186, 0.5441, 0.0233)
Zn (0.8320, 0.3147, 0.4964)
O (0.7147, 0.1507, 0.5231)
O (0.8417, 0.1299, 0.0266)
O (0.1794, 0.5043, 0.0757)
Na (0.8234, 0.3319, 0.8338)
S (0.0244, 0.3813, 0.9157)
O (0.4375, 0.3683, 0.9182)

## Properties
Total moment (μB/cell): 0.000
Uncorrected energy (eV per atom): -6.60
Crystal system: triclinic
Space group: P1
Formation energy (eV/atom): -2.62